Version one
LiTi2O4: relaxed, PBE.

Output
Crystal system   cubic

Lattice parameters (Å, degrees): 8.4655 8.4655 8.4655 90.00 90.00 90.00
Space group Fd-3m (No. 227, origin choice 2)
Unique sites:
Li  0.1250  0.1250  0.1250
Ti  0.0000  0.0000  0.5000
O  0.0126  0.0126  0.7374

=====

Version two
LiTi2O4: relaxed, PBE.

Output
Crystal system   orthorhombic
Total magnetic moment   0.0 μB per formula unit

Lattice parameters (Å, degrees): 5.8688 6.0068 8.4223 90.00 90.00 90.00
Space group Imma (No. 74)
Unique sites:
Li  0.0000  0.0000  0.0000
Ti  0.0000  0.2500  0.3814
Ti  0.2500  0.2500  0.7500
O  0.0000  0.0067  0.7487
O  0.2471  0.2500  0.5139

=====

Compare the structures above. Which one is the least stable? version two is.